Entry from Materials Project: a relaxed structure of Mg6MnBiO8 (PBE with a Hubbard U).

Unit cell a=8.9366 b=4.5475 c=4.5475 alpha=90.00 beta=90.00 gamma=90.00
Fractional positions:
Mg (0.5000, 0.0000, 0.0000)
Mg (0.5000, 0.5000, 0.5000)
Mg (0.2677, 0.0000, 0.5000)
Mg (0.7323, 0.0000, 0.5000)
Mg (0.2677, 0.5000, 0.0000)
Mg (0.7323, 0.5000, 0.0000)
Mn (0.0000, 0.0000, 0.0000)
Bi (0.0000, 0.5000, 0.5000)
O (0.2605, 0.0000, 0.0000)
O (0.7395, 0.0000, 0.0000)
O (0.2753, 0.5000, 0.5000)
O (0.7247, 0.5000, 0.5000)
O (0.0000, 0.0000, 0.5000)
O (0.5000, 0.0000, 0.5000)
O (0.0000, 0.5000, 0.0000)
O (0.5000, 0.5000, 0.0000)

Computed properties:
* formation enthalpy at 0 K: -232.2 kJ per mole of atoms
* relative energy among the computed polymorphs: 0.000 eV/atom
* calculated volume: 11.55 A^3/atom